BRu3: optimized geometry, PBE.

a b c (Å): 5.3223 5.3223 4.0621
angles (deg): 90.00 90.00 120.00
With the nearest neighbours (Å) after each atom.
Fractional positions:
Ru1 0.8254 0.6507 0.7500  4 B 2.50-2.66, 8 Ru 2.53-2.79
Ru2 0.3493 0.1746 0.7500  4 B 2.50-2.66, 8 Ru 2.53-2.79
Ru3 0.8254 0.1746 0.7500  4 B 2.50-2.66, 8 Ru 2.53-2.79
Ru4 0.1746 0.8254 0.2500  4 B 2.50-2.66, 8 Ru 2.53-2.79
Ru5 0.1746 0.3493 0.2500  4 B 2.50-2.66, 8 Ru 2.53-2.79
Ru6 0.6507 0.8254 0.2500  4 B 2.50-2.66, 8 Ru 2.53-2.79
B1 0.6667 0.3333 0.2500  12 Ru 2.50-2.66
B2 0.3333 0.6667 0.7500  12 Ru 2.50-2.66

Its density is 10.5 g/cm3. The space-group type is P6_3/mmc, No. 194. As for the energy relative to the elements: 466 meV per atom.

B3Ru7: optimized geometry, PBE.

a b c (Å): 7.5194 7.5194 4.7556
angles (deg): 90.00 90.00 120.00
With the nearest neighbours (Å) after each atom.
Fractional positions:
Ru1 0.4567 0.9134 0.5710  2 B 2.15
Ru2 0.7563 0.8781 0.2426  3 B 2.14-2.21
Ru3 0.6667 0.3333 0.5722  3 B 2.19
Ru4 0.2437 0.1219 0.7426  3 B 2.14-2.21
Ru5 0.0866 0.5433 0.5710  2 B 2.15
Ru6 0.1219 0.8781 0.2426  3 B 2.14-2.21
Ru7 0.5433 0.0866 0.0710  2 B 2.15
Ru8 0.1219 0.2437 0.2426  3 B 2.14-2.21
Ru9 0.8781 0.7563 0.7426  3 B 2.14-2.21
Ru10 0.4567 0.5433 0.5710  2 B 2.15
Ru11 0.3333 0.6667 0.0722  3 B 2.19
Ru12 0.5433 0.4567 0.0710  2 B 2.15
Ru13 0.8781 0.1219 0.7426  3 B 2.14-2.21
Ru14 0.9134 0.4567 0.0710  2 B 2.15
B1 0.6212 0.8106 0.8330  6 Ru 2.14-2.21
B2 0.8106 0.6212 0.3330  6 Ru 2.14-2.21
B3 0.8106 0.1894 0.3330  6 Ru 2.14-2.21
B4 0.1894 0.8106 0.8330  6 Ru 2.14-2.21
B5 0.3788 0.1894 0.3330  6 Ru 2.14-2.21
B6 0.1894 0.3788 0.8330  6 Ru 2.14-2.21

Its density is 10.6 g/cm3. The space-group type is P6_3mc, No. 186. As for the energy relative to the elements: -138 meV per atom.

Among the records above, which one has the lowest density?
BRu3

What is the density in the first record?
10.5 g/cm3

Among the records above, which one has the highest density?
B3Ru7